# 1
Below is a relaxed HoB12 crystal, with properties calculated at the r²SCAN level.

Output
formation energy from the elements: -0.265 eV/atom

Geometry as CIF:
```
data_HoB12
_cell_length_a 7.479
_cell_length_b 7.479
_cell_length_c 7.479
_cell_angle_alpha 90.00
_cell_angle_beta 90.00
_cell_angle_gamma 90.00
_space_group_name_H-M_alt 'F m -3 m'
_space_group_IT_number 225
_space_group_name_Hall '-F 4 2 3'
loop_
_atom_site_label
_atom_site_type_symbol
_atom_site_fract_x
_atom_site_fract_y
_atom_site_fract_z
Ho1 Ho 0.000 0.000 0.000
B1 B 0.000 0.169 0.331
```

***

# 2
Below is a relaxed HoB2Ir3 crystal, with properties calculated at the r²SCAN level.

Output
formation energy from the elements: -0.770 eV/atom

Geometry as CIF:
```
data_HoB2Ir3
_cell_length_a 5.4231
_cell_length_b 5.4231
_cell_length_c 3.1492
_cell_angle_alpha 90.00
_cell_angle_beta 90.00
_cell_angle_gamma 120.00
_space_group_name_H-M_alt 'P 6/m m m'
_space_group_IT_number 191
_space_group_name_Hall '-P 6 2'
loop_
_atom_site_label
_atom_site_type_symbol
_atom_site_fract_x
_atom_site_fract_y
_atom_site_fract_z
Ho1 Ho 0.0000 0.0000 0.0000
B1 B 0.3333 0.6667 0.0000
Ir1 Ir 0.0000 0.5000 0.5000
```

***

# 3
Below is a relaxed HoB7Mo3 crystal, with properties calculated at the r²SCAN level.

Output
formation energy from the elements: -0.597 eV/atom

Geometry as CIF:
```
data_HoB7Mo3
_cell_length_a 11.003
_cell_length_b 3.094
_cell_length_c 12.832
_cell_angle_alpha 90.00
_cell_angle_beta 90.00
_cell_angle_gamma 90.00
_space_group_name_H-M_alt 'P n m a'
_space_group_IT_number 62
_space_group_name_Hall '-P 2ac 2n'
loop_
_atom_site_label
_atom_site_type_symbol
_atom_site_fract_x
_atom_site_fract_y
_atom_site_fract_z
Ho1 Ho 0.051 0.250 0.192
B1 B 0.011 0.750 0.362
B2 B 0.037 0.750 0.018
B3 B 0.068 0.750 0.616
B4 B 0.166 0.750 0.333
B5 B 0.186 0.750 0.067
B6 B 0.231 0.750 0.582
B7 B 0.249 0.750 0.826
Mo1 Mo 0.118 0.250 0.473
Mo2 Mo 0.160 0.250 0.936
Mo3 Mo 0.184 0.250 0.702
```

***

# 4
Below is a relaxed HoNi2B2 crystal, with properties calculated at the r²SCAN level.

Output
formation energy from the elements: -0.606 eV/atom

Geometry as CIF:
```
data_HoNi2B2
_cell_length_a 8.346
_cell_length_b 5.204
_cell_length_c 6.823
_cell_angle_alpha 90.00
_cell_angle_beta 126.88
_cell_angle_gamma 90.00
_space_group_name_H-M_alt 'C 1 2/c 1'
_space_group_IT_number 15
_space_group_name_Hall '-C 2yc'
loop_
_atom_site_label
_atom_site_type_symbol
_atom_site_fract_x
_atom_site_fract_y
_atom_site_fract_z
Ho1 Ho 0.000 0.120 0.250
Ni1 Ni 0.126 0.405 0.700
B1 B 0.170 0.327 0.025
```

***

# 5
Below is a relaxed Ho2Ni3B6 crystal, with properties calculated at the r²SCAN level.

Output
formation energy from the elements: -0.624 eV/atom

Geometry as CIF:
```
data_Ho2Ni3B6
_cell_length_a 7.667
_cell_length_b 8.605
_cell_length_c 3.447
_cell_angle_alpha 90.00
_cell_angle_beta 90.00
_cell_angle_gamma 90.00
_space_group_name_H-M_alt 'C m m m'
_space_group_IT_number 65
_space_group_name_Hall '-C 2 2'
loop_
_atom_site_label
_atom_site_type_symbol
_atom_site_fract_x
_atom_site_fract_y
_atom_site_fract_z
Ho1 Ho 0.000 0.225 0.000
Ni1 Ni 0.000 0.500 0.500
Ni2 Ni 0.226 0.500 0.000
B1 B 0.113 0.000 0.500
B2 B 0.234 0.350 0.500
```

***

# 6
Below is a relaxed HoReB4 crystal, with properties calculated at the r²SCAN level.

Output
formation energy from the elements: -0.653 eV/atom

Geometry as CIF:
```
data_HoReB4
_cell_length_a 5.950
_cell_length_b 11.503
_cell_length_c 3.603
_cell_angle_alpha 90.00
_cell_angle_beta 90.00
_cell_angle_gamma 90.00
_space_group_name_H-M_alt 'P b a m'
_space_group_IT_number 55
_space_group_name_Hall '-P 2 2ab'
loop_
_atom_site_label
_atom_site_type_symbol
_atom_site_fract_x
_atom_site_fract_y
_atom_site_fract_z
Ho1 Ho 0.127 0.150 0.000
Re1 Re 0.133 0.413 0.000
B1 B 0.023 0.692 0.500
B2 B 0.114 0.548 0.500
B3 B 0.136 0.969 0.500
B4 B 0.212 0.815 0.500
```